(1)
The following is a PBE+U calculation of crystalline Li3MnVP3O12 at its relaxed geometry, from the Materials Project database.

a b c (Å): 8.8499 8.6177 12.2866
angles (deg): 86.89 90.00 90.00
Closest atoms and distances in Å follow each position.
Atoms (fractional coordinates):
1 O 0.6117 0.5594 0.3418  1 P 1.54
2 Li 0.1077 0.9799 0.2438  4 O 2.03-2.26
3 O 0.4070 0.2540 0.4932  1 P 1.55
4 Li 0.9918 0.0031 0.5065  4 O 2.09-2.27
5 Li 0.0082 0.0031 0.0065  4 O 2.09-2.27
6 O 0.2791 0.8755 0.8135  1 P 1.52
7 O 0.8127 0.3675 0.3071  1 P 1.58
8 O 0.3961 0.4272 0.6638  1 P 1.56
9 P 0.6475 0.1633 0.8947  4 O 1.51-1.59
10 O 0.0608 0.2532 0.0153  1 P 1.58
11 O 0.8795 0.5243 0.5840  1 P 1.52
12 O 0.3140 0.6316 0.4117  1 P 1.53
13 O 0.4242 0.0029 0.1119  1 P 1.53
14 O 0.6051 0.9942 0.8933  1 P 1.51
15 O 0.1873 0.3675 0.8071  1 P 1.58
16 Li 0.5934 0.5075 0.7628  4 O 2.06-2.26
17 O 0.0950 0.2792 0.2111  1 P 1.57
18 O 0.5758 0.0029 0.6119  1 P 1.53
19 O 0.9135 0.9493 0.1598  1 P 1.55
20 P 0.8575 0.6479 0.8967  4 O 1.53-1.56
21 O 0.5995 0.7384 0.7094  1 P 1.54
22 O 0.9050 0.2792 0.7111  1 P 1.57
23 Mn 0.9977 0.7122 0.6423  5 O 1.97-2.12
24 O 0.6039 0.4272 0.1638  1 P 1.56
25 Li 0.4939 0.5093 0.4988  5 O 2.16-2.34
26 Li 0.8046 0.2756 0.0613  3 O 2.06-2.18
27 O 0.3232 0.3293 0.0832  1 P 1.54
28 P 0.6409 0.8394 0.6067  4 O 1.53-1.58
29 O 0.6768 0.3293 0.5832  1 P 1.54
30 O 0.7039 0.1306 0.1928  1 P 1.54
31 O 0.1205 0.5243 0.0840  1 P 1.52
32 Li 0.8923 0.9799 0.7438  4 O 2.03-2.26
33 Mn 0.4989 0.7951 0.3545  5 O 2.03-2.25
34 P 0.8051 0.0042 0.2491  4 O 1.52-1.59
35 V 0.0029 0.2864 0.8543  6 O 1.86-2.05
36 P 0.2904 0.4969 0.7501  4 O 1.52-1.58
37 O 0.1892 0.6153 0.6904  1 P 1.52
38 P 0.7096 0.4969 0.2501  4 O 1.52-1.58
39 O 0.7209 0.8755 0.3135  1 P 1.52
40 P 0.1949 0.0042 0.7491  4 O 1.52-1.59
41 O 0.5896 0.7457 0.5091  1 P 1.55
42 O 0.6860 0.6316 0.9117  1 P 1.53
43 O 0.4005 0.7384 0.2094  1 P 1.54
44 Li 0.4066 0.5075 0.2628  4 O 2.06-2.26
45 O 0.9150 0.0767 0.3356  1 P 1.59
46 Li 0.1995 0.7180 0.9426  3 O 2.06-2.28
47 O 0.9177 0.4776 0.8983  1 P 1.56
48 O 0.4104 0.7457 0.0091  1 P 1.55
49 O 0.0938 0.7379 0.2894  1 P 1.55
50 O 0.9392 0.2532 0.5153  1 P 1.58
51 O 0.3949 0.9942 0.3933  1 P 1.51
52 O 0.0823 0.4776 0.3983  1 P 1.56
53 Li 0.1954 0.2756 0.5613  3 O 2.06-2.18
54 O 0.8262 0.1664 0.9102  1 P 1.59
55 Mn 0.0023 0.7122 0.1423  5 O 1.97-2.12
56 P 0.1513 0.3508 0.0983  4 O 1.52-1.58
57 V 0.5003 0.2115 0.1449  6 O 1.98-2.10
58 O 0.4017 0.2583 0.2909  1 P 1.54
59 P 0.3591 0.8394 0.1067  4 O 1.53-1.58
60 P 0.8487 0.3508 0.5983  4 O 1.52-1.58
61 O 0.5983 0.2583 0.7909  1 P 1.54
62 V 0.9971 0.2864 0.3543  6 O 1.86-2.05
63 V 0.4997 0.2115 0.6449  6 O 1.98-2.10
64 P 0.1425 0.6479 0.3967  4 O 1.53-1.56
65 O 0.9403 0.7427 0.9836  1 P 1.56
66 O 0.9062 0.7379 0.7894  1 P 1.55
67 O 0.0850 0.0767 0.8356  1 P 1.59
68 Li 0.5061 0.5093 0.9988  5 O 2.16-2.34
69 Mn 0.5011 0.7951 0.8545  5 O 2.03-2.25
70 Li 0.8005 0.7180 0.4426  3 O 2.06-2.28
71 O 0.0597 0.7427 0.4836  1 P 1.56
72 P 0.3525 0.1633 0.3947  4 O 1.51-1.59
73 O 0.3883 0.5594 0.8418  1 P 1.54
74 O 0.1738 0.1664 0.4102  1 P 1.59
75 O 0.8108 0.6153 0.1904  1 P 1.52
76 O 0.5930 0.2540 0.9932  1 P 1.55
77 O 0.1824 0.8619 0.0927  1 P 1.58
78 O 0.8176 0.8619 0.5927  1 P 1.58
79 O 0.0865 0.9493 0.6598  1 P 1.55
80 O 0.2961 0.1306 0.6928  1 P 1.54

Properties
crystal system: monoclinic
total magnetization: 0.30 μB/atom
offset from the most stable computed form: 48 meV/atom
ΔH_f (0 K): -60.1 kcal/mol of atoms

(2)
The following is a PBE+U calculation of crystalline Li2MnVP4O14 at its relaxed geometry, from the Materials Project database.

a b c (Å): 8.3111 7.1663 9.7120
angles (deg): 68.80 90.00 90.00
Closest atoms and distances in Å follow each position.
Atoms (fractional coordinates):
1 O 0.1742 0.8516 0.5984  1 P 1.52
2 P 0.3220 0.5167 0.4415  4 O 1.52-1.62
3 O 0.7945 0.8863 0.1197  1 P 1.52
4 O 0.1719 0.8490 0.1032  1 P 1.53
5 O 0.4648 0.4815 0.3530  1 P 1.54
6 O 0.8232 0.6046 0.8958  1 P 1.53
7 O 0.6742 0.1484 0.4016  1 P 1.52
8 O 0.0668 0.9139 0.3421  1 P 1.54
9 O 0.6719 0.1510 0.8968  1 P 1.53
10 O 0.2945 0.1137 0.8803  1 P 1.52
11 O 0.3285 0.3902 0.6080  1 P 1.54
12 O 0.6574 0.4936 0.1296  1 P 1.53
13 O 0.8049 0.8886 0.6238  1 P 1.53
14 O 0.3463 0.7488 0.4226  2 P 1.62-1.63
15 O 0.5668 0.0861 0.6579  1 P 1.54
16 O 0.1574 0.5064 0.8704  1 P 1.53
17 P 0.8220 0.4833 0.5585  4 O 1.52-1.62
18 P 0.8202 0.4774 0.0611  4 O 1.53-1.62
19 P 0.2165 0.9112 0.4361  4 O 1.52-1.63
20 Li 0.6407 0.6741 0.2512  4 O 2.01-2.05
21 O 0.4629 0.4832 0.8524  1 P 1.54
22 O 0.9629 0.5168 0.1476  1 P 1.54
23 O 0.1598 0.4929 0.3776  1 P 1.52
24 O 0.3232 0.3954 0.1042  1 P 1.53
25 P 0.3202 0.5226 0.9389  4 O 1.53-1.62
26 O 0.3448 0.7535 0.9226  2 P 1.62-1.63
27 O 0.3049 0.1114 0.3762  1 P 1.53
28 O 0.0624 0.9099 0.8455  1 P 1.54
29 P 0.7115 0.0881 0.0613  4 O 1.52-1.63
30 Li 0.1407 0.3259 0.7488  4 O 2.01-2.05
31 V 0.0003 0.7271 0.7430  6 O 1.98-2.09
32 O 0.8463 0.2512 0.5774  2 P 1.62-1.63
33 V 0.5003 0.2729 0.2570  6 O 1.98-2.09
34 P 0.7165 0.0888 0.5639  4 O 1.52-1.63
35 O 0.8448 0.2465 0.0774  2 P 1.62-1.63
36 O 0.9648 0.5185 0.6470  1 P 1.54
37 O 0.5624 0.0901 0.1545  1 P 1.54
38 Mn 0.5009 0.2703 0.7578  5 O 1.93-2.16
39 P 0.2115 0.9119 0.9387  4 O 1.52-1.63
40 O 0.8285 0.6098 0.3920  1 P 1.54
41 Li 0.6398 0.6730 0.7504  4 O 2.00-2.10
42 Li 0.1398 0.3270 0.2496  4 O 2.00-2.10
43 O 0.6598 0.5071 0.6224  1 P 1.52
44 Mn 0.0009 0.7297 0.2422  5 O 1.93-2.16

Properties
crystal system: monoclinic
total magnetization: 0.27 μB/atom
offset from the most stable computed form: 11 meV/atom
ΔH_f (0 K): -61.2 kcal/mol of atoms